Record 1
This record from Materials Project describes a geometry-optimized BaSiS6O21 structure. The functional is PBE.

- Formation energy: -2.025 eV/atom

Unit cell a=13.775 b=16.756 c=15.575 alpha=90.00 beta=90.00 gamma=90.00
Positions (direct):
Ba: 0.240 0.007 0.201
Ba: 0.240 0.493 0.701
Ba: 0.260 0.507 0.201
Ba: 0.260 0.993 0.701
Ba: 0.740 0.007 0.299
Ba: 0.740 0.493 0.799
Ba: 0.760 0.507 0.299
Ba: 0.760 0.993 0.799
Si: 0.126 0.249 0.895
Si: 0.126 0.251 0.395
Si: 0.374 0.749 0.895
Si: 0.374 0.751 0.395
Si: 0.626 0.249 0.605
Si: 0.626 0.251 0.105
Si: 0.874 0.749 0.605
Si: 0.874 0.751 0.105
S: 0.024 0.093 0.365
S: 0.024 0.407 0.865
S: 0.032 0.090 0.849
S: 0.032 0.410 0.349
S: 0.053 0.131 0.030
S: 0.053 0.369 0.530
S: 0.171 0.666 0.882
S: 0.171 0.834 0.382
S: 0.206 0.090 0.451
S: 0.206 0.410 0.951
S: 0.242 0.747 0.239
S: 0.242 0.753 0.739
S: 0.258 0.247 0.239
S: 0.258 0.253 0.739
S: 0.294 0.590 0.451
S: 0.294 0.910 0.951
S: 0.329 0.166 0.882
S: 0.329 0.334 0.382
S: 0.447 0.631 0.030
S: 0.447 0.869 0.530
S: 0.468 0.590 0.849
S: 0.468 0.910 0.349
S: 0.476 0.593 0.365
S: 0.476 0.907 0.865
S: 0.524 0.093 0.135
S: 0.524 0.407 0.635
S: 0.532 0.090 0.651
S: 0.532 0.410 0.151
S: 0.553 0.131 0.470
S: 0.553 0.369 0.970
S: 0.671 0.666 0.618
S: 0.671 0.834 0.118
S: 0.706 0.090 0.049
S: 0.706 0.410 0.549
S: 0.742 0.747 0.261
S: 0.742 0.753 0.761
S: 0.758 0.247 0.261
S: 0.758 0.253 0.761
S: 0.794 0.590 0.049
S: 0.794 0.910 0.549
S: 0.829 0.166 0.618
S: 0.829 0.334 0.118
S: 0.947 0.631 0.470
S: 0.947 0.869 0.970
S: 0.968 0.590 0.651
S: 0.968 0.910 0.151
S: 0.976 0.593 0.135
S: 0.976 0.907 0.635
O: 0.028 0.183 0.382
O: 0.028 0.317 0.882
O: 0.046 0.626 0.446
O: 0.046 0.874 0.946
O: 0.052 0.179 0.838
O: 0.052 0.321 0.338
O: 0.068 0.072 0.285
O: 0.068 0.428 0.785
O: 0.070 0.563 0.115
O: 0.070 0.937 0.615
O: 0.071 0.577 0.652
O: 0.071 0.923 0.152
O: 0.072 0.071 0.945
O: 0.072 0.429 0.445
O: 0.076 0.214 0.993
O: 0.076 0.286 0.493
O: 0.092 0.058 0.444
O: 0.092 0.442 0.944
O: 0.093 0.043 0.795
O: 0.093 0.457 0.295
O: 0.104 0.686 0.948
O: 0.104 0.814 0.448
O: 0.128 0.105 0.087
O: 0.128 0.395 0.587
O: 0.155 0.737 0.808
O: 0.155 0.763 0.308
O: 0.163 0.591 0.837
O: 0.163 0.909 0.337
O: 0.175 0.217 0.296
O: 0.175 0.283 0.796
O: 0.193 0.180 0.458
O: 0.193 0.320 0.958
O: 0.207 0.680 0.190
O: 0.207 0.820 0.690
O: 0.223 0.179 0.908
O: 0.223 0.321 0.408
O: 0.234 0.179 0.697
O: 0.234 0.321 0.197
O: 0.236 0.058 0.532
O: 0.236 0.442 0.032
O: 0.244 0.567 0.374
O: 0.244 0.933 0.874
O: 0.256 0.067 0.374
O: 0.256 0.433 0.874
O: 0.264 0.558 0.532
O: 0.264 0.942 0.032
O: 0.266 0.679 0.697
O: 0.266 0.821 0.197
O: 0.277 0.679 0.908
O: 0.277 0.821 0.408
O: 0.293 0.180 0.190
O: 0.293 0.320 0.690
O: 0.307 0.680 0.458
O: 0.307 0.820 0.958
O: 0.325 0.717 0.296
O: 0.325 0.783 0.796
O: 0.337 0.091 0.837
O: 0.337 0.409 0.337
O: 0.345 0.237 0.808
O: 0.345 0.263 0.308
O: 0.372 0.605 0.087
O: 0.372 0.895 0.587
O: 0.396 0.186 0.948
O: 0.396 0.314 0.448
O: 0.407 0.543 0.795
O: 0.407 0.957 0.295
O: 0.408 0.558 0.444
O: 0.408 0.942 0.944
O: 0.424 0.714 0.993
O: 0.424 0.786 0.493
O: 0.428 0.571 0.945
O: 0.428 0.929 0.445
O: 0.429 0.077 0.652
O: 0.429 0.423 0.152
O: 0.430 0.063 0.115
O: 0.430 0.437 0.615
O: 0.432 0.572 0.285
O: 0.432 0.928 0.785
O: 0.448 0.679 0.838
O: 0.448 0.821 0.338
O: 0.454 0.126 0.446
O: 0.454 0.374 0.946
O: 0.472 0.683 0.382
O: 0.472 0.817 0.882
O: 0.528 0.183 0.118
O: 0.528 0.317 0.618
O: 0.546 0.626 0.054
O: 0.546 0.874 0.554
O: 0.552 0.179 0.662
O: 0.552 0.321 0.162
O: 0.568 0.072 0.215
O: 0.568 0.428 0.715
O: 0.570 0.563 0.385
O: 0.570 0.937 0.885
O: 0.571 0.577 0.848
O: 0.571 0.923 0.348
O: 0.572 0.071 0.555
O: 0.572 0.429 0.055
O: 0.576 0.214 0.507
O: 0.576 0.286 0.007
O: 0.592 0.058 0.056
O: 0.592 0.442 0.556
O: 0.593 0.043 0.705
O: 0.593 0.457 0.205
O: 0.604 0.686 0.552
O: 0.604 0.814 0.052
O: 0.628 0.105 0.413
O: 0.628 0.395 0.913
O: 0.655 0.737 0.692
O: 0.655 0.763 0.192
O: 0.663 0.591 0.663
O: 0.663 0.909 0.163
O: 0.675 0.217 0.204
O: 0.675 0.283 0.704
O: 0.693 0.180 0.042
O: 0.693 0.320 0.542
O: 0.707 0.680 0.310
O: 0.707 0.820 0.810
O: 0.723 0.179 0.592
O: 0.723 0.321 0.092
O: 0.734 0.179 0.803
O: 0.734 0.321 0.303
O: 0.736 0.058 0.968
O: 0.736 0.442 0.468
O: 0.744 0.567 0.126
O: 0.744 0.933 0.626
O: 0.756 0.067 0.126
O: 0.756 0.433 0.626
O: 0.764 0.558 0.968
O: 0.764 0.942 0.468
O: 0.766 0.679 0.803
O: 0.766 0.821 0.303
O: 0.777 0.679 0.592
O: 0.777 0.821 0.092
O: 0.793 0.180 0.310
O: 0.793 0.320 0.810
O: 0.807 0.680 0.042
O: 0.807 0.820 0.542
O: 0.825 0.717 0.204
O: 0.825 0.783 0.704
O: 0.837 0.091 0.663
O: 0.837 0.409 0.163
O: 0.845 0.237 0.692
O: 0.845 0.263 0.192
O: 0.872 0.605 0.413
O: 0.872 0.895 0.913
O: 0.896 0.186 0.552
O: 0.896 0.314 0.052
O: 0.907 0.543 0.705
O: 0.907 0.957 0.205
O: 0.908 0.558 0.056
O: 0.908 0.942 0.556
O: 0.924 0.714 0.507
O: 0.924 0.786 0.007
O: 0.928 0.571 0.555
O: 0.928 0.929 0.055
O: 0.929 0.077 0.848
O: 0.929 0.423 0.348
O: 0.930 0.063 0.385
O: 0.930 0.437 0.885
O: 0.932 0.572 0.215
O: 0.932 0.928 0.715
O: 0.948 0.679 0.662
O: 0.948 0.821 0.162
O: 0.954 0.126 0.054
O: 0.954 0.374 0.554
O: 0.972 0.683 0.118
O: 0.972 0.817 0.618

---

Record 2
This record from Materials Project describes a geometry-optimized KIn2Ga2 structure. The functional is PBE.

- Formation energy: -0.136 eV/atom

Unit cell a=6.796 b=6.796 c=6.796 alpha=138.71 beta=138.71 gamma=59.82
Positions (direct):
K: 0.000 0.000 0.000
In: 0.250 0.750 0.500
In: 0.750 0.250 0.500
Ga: 0.391 0.391 0.000
Ga: 0.609 0.609 0.000

---

Record 3
This record from Materials Project describes a geometry-optimized ReHC4O4 structure. The functional is PBE.

- Formation energy: -0.909 eV/atom
- Energy relative to the lowest polymorph listed for this composition: 0 meV/atom

Unit cell a=12.880 b=12.662 c=17.536 alpha=90.00 beta=130.46 gamma=90.00
Positions (direct):
Re: 0.152 0.230 0.073
Re: 0.152 0.270 0.573
Re: 0.179 0.705 0.526
Re: 0.179 0.795 0.026
Re: 0.226 0.042 0.974
Re: 0.226 0.458 0.474
Re: 0.774 0.542 0.526
Re: 0.774 0.958 0.026
Re: 0.821 0.205 0.974
Re: 0.821 0.295 0.474
Re: 0.848 0.730 0.427
Re: 0.848 0.770 0.927
H: 0.004 0.163 0.052
H: 0.004 0.337 0.552
H: 0.113 0.114 0.990
H: 0.113 0.386 0.490
H: 0.188 0.556 0.532
H: 0.188 0.944 0.032
H: 0.812 0.056 0.968
H: 0.812 0.444 0.468
H: 0.887 0.614 0.510
H: 0.887 0.886 0.010
H: 0.996 0.663 0.448
H: 0.996 0.837 0.948
C: 0.045 0.182 0.448
C: 0.045 0.318 0.948
C: 0.046 0.014 0.838
C: 0.046 0.486 0.338
C: 0.140 0.726 0.397
C: 0.140 0.774 0.897
C: 0.162 0.158 0.652
C: 0.162 0.342 0.152
C: 0.167 0.644 0.035
C: 0.167 0.856 0.535
C: 0.213 0.684 0.655
C: 0.213 0.816 0.155
C: 0.249 0.165 0.919
C: 0.249 0.335 0.419
C: 0.255 0.135 0.193
C: 0.255 0.365 0.693
C: 0.318 0.217 0.607
C: 0.318 0.283 0.107
C: 0.320 0.544 0.443
C: 0.320 0.956 0.943
C: 0.373 0.718 0.603
C: 0.373 0.782 0.103
C: 0.403 0.066 0.112
C: 0.403 0.434 0.612
C: 0.597 0.566 0.388
C: 0.597 0.934 0.888
C: 0.627 0.218 0.897
C: 0.627 0.282 0.397
C: 0.680 0.044 0.057
C: 0.680 0.456 0.557
C: 0.682 0.717 0.893
C: 0.682 0.783 0.393
C: 0.745 0.635 0.307
C: 0.745 0.865 0.807
C: 0.751 0.665 0.581
C: 0.751 0.835 0.081
C: 0.787 0.184 0.845
C: 0.787 0.316 0.345
C: 0.833 0.144 0.465
C: 0.833 0.356 0.965
C: 0.838 0.658 0.848
C: 0.838 0.842 0.348
C: 0.860 0.226 0.103
C: 0.860 0.274 0.603
C: 0.954 0.514 0.662
C: 0.954 0.986 0.162
C: 0.955 0.682 0.052
C: 0.955 0.818 0.552
O: 0.017 0.631 0.123
O: 0.017 0.869 0.623
O: 0.056 0.003 0.241
O: 0.056 0.497 0.741
O: 0.119 0.740 0.323
O: 0.119 0.760 0.823
O: 0.164 0.552 0.041
O: 0.164 0.948 0.541
O: 0.172 0.091 0.703
O: 0.172 0.409 0.203
O: 0.236 0.676 0.729
O: 0.236 0.824 0.229
O: 0.260 0.236 0.883
O: 0.260 0.264 0.383
O: 0.316 0.081 0.263
O: 0.316 0.419 0.763
O: 0.378 0.593 0.425
O: 0.378 0.907 0.925
O: 0.418 0.182 0.627
O: 0.418 0.318 0.127
O: 0.491 0.727 0.651
O: 0.491 0.773 0.151
O: 0.493 0.579 0.308
O: 0.493 0.921 0.808
O: 0.507 0.079 0.192
O: 0.507 0.421 0.692
O: 0.509 0.227 0.849
O: 0.509 0.273 0.349
O: 0.582 0.682 0.873
O: 0.582 0.818 0.373
O: 0.622 0.093 0.075
O: 0.622 0.407 0.575
O: 0.684 0.581 0.237
O: 0.684 0.919 0.737
O: 0.740 0.736 0.617
O: 0.740 0.764 0.117
O: 0.764 0.176 0.771
O: 0.764 0.324 0.271
O: 0.828 0.591 0.797
O: 0.828 0.909 0.297
O: 0.836 0.052 0.459
O: 0.836 0.448 0.959
O: 0.881 0.240 0.177
O: 0.881 0.260 0.677
O: 0.944 0.503 0.259
O: 0.944 0.997 0.759
O: 0.983 0.131 0.377
O: 0.983 0.369 0.877

---

Record 4
This record from Materials Project describes a geometry-optimized Ba2MnTe3 structure. The functional is PBE.

- Formation energy: -1.460 eV/atom

Unit cell a=9.820 b=4.795 c=19.122 alpha=90.00 beta=90.00 gamma=90.00
Positions (direct):
Ba: 0.083 0.250 0.213
Ba: 0.249 0.750 0.459
Ba: 0.251 0.250 0.959
Ba: 0.417 0.750 0.713
Ba: 0.583 0.250 0.287
Ba: 0.749 0.750 0.041
Ba: 0.751 0.250 0.541
Ba: 0.917 0.750 0.787
Mn: 0.132 0.250 0.636
Mn: 0.368 0.750 0.136
Mn: 0.632 0.250 0.864
Mn: 0.868 0.750 0.364
Te: 0.002 0.750 0.601
Te: 0.121 0.750 0.072
Te: 0.183 0.250 0.775
Te: 0.317 0.750 0.275
Te: 0.379 0.250 0.572
Te: 0.498 0.250 0.101
Te: 0.502 0.750 0.899
Te: 0.621 0.750 0.428
Te: 0.683 0.250 0.725
Te: 0.817 0.750 0.225
Te: 0.879 0.250 0.928
Te: 0.998 0.250 0.399

---

Record 5
This record from Materials Project describes a geometry-optimized Mg2Si structure. The functional is PBE.

- Formation energy: 0.015 eV/atom

Unit cell a=4.955 b=7.263 c=6.789 alpha=90.00 beta=91.75 gamma=90.00
Positions (direct):
Mg: 0.158 0.214 0.001
Mg: 0.158 0.286 0.501
Mg: 0.320 0.600 0.193
Mg: 0.320 0.900 0.693
Mg: 0.680 0.100 0.307
Mg: 0.680 0.400 0.807
Mg: 0.842 0.714 0.499
Mg: 0.842 0.786 0.999
Si: 0.199 0.552 0.780
Si: 0.199 0.948 0.280
Si: 0.801 0.052 0.720
Si: 0.801 0.448 0.220

---

Record 6
This record from Materials Project describes a geometry-optimized OsN2 structure. The functional is PBE.

- Formation energy: 0.285 eV/atom
- Energy relative to the lowest polymorph listed for this composition: 224 meV/atom

Unit cell a=4.944 b=4.936 c=4.976 alpha=90.00 beta=112.91 gamma=90.00
Positions (direct):
Os: 0.235 0.001 0.225
Os: 0.235 0.499 0.725
Os: 0.765 0.501 0.275
Os: 0.765 0.999 0.775
N: 0.192 0.597 0.307
N: 0.192 0.903 0.807
N: 0.321 0.094 0.676
N: 0.321 0.406 0.176
N: 0.679 0.594 0.824
N: 0.679 0.906 0.324
N: 0.808 0.097 0.193
N: 0.808 0.403 0.693

---

Record 7
This record from Materials Project describes a geometry-optimized GdTmCd2 structure. The functional is PBE.

- Formation energy: -0.319 eV/atom

Unit cell a=5.307 b=5.307 c=5.307 alpha=60.00 beta=60.00 gamma=60.00
Positions (direct):
Gd: 0.000 0.000 0.000
Tm: 0.500 0.500 0.500
Cd: 0.250 0.250 0.250
Cd: 0.750 0.750 0.750